{
  "formula": "Eu3OsO7",
  "functional": "meta-GGA r2SCAN",
  "state": "optimized geometry",
  "ef_ev_per_atom": -2.544,
  "e_tot_ev_per_atom": -21.67,
  "space_group": "Cmcm",
  "m_tot_mub_per_cell": 42.0,
  "vol_a3_per_atom": 13.65,
  "density_g_cm3": 8.4,
  "lattice": [[5.424, -3.674, 0.000], [5.424, 3.674, 0.000], [0.000, 0.000, 7.535]],
  "species": ["Eu", "Eu", "Eu", "Eu", "Eu", "Eu", "Os", "Os", "O", "O", "O", "O", "O", "O", "O", "O", "O", "O", "O", "O", "O", "O"],
  "fractional_positions": [[0.000, 0.000, 0.000], [0.000, 0.000, 0.500], [0.073, 0.473, 0.750], [0.473, 0.073, 0.250], [0.527, 0.927, 0.750], [0.927, 0.527, 0.250], [0.500, 0.500, 0.000], [0.500, 0.500, 0.500], [0.105, 0.160, 0.250], [0.160, 0.105, 0.750], [0.193, 0.558, 0.040], [0.193, 0.558, 0.460], [0.416, 0.584, 0.750], [0.442, 0.807, 0.040], [0.442, 0.807, 0.460], [0.558, 0.193, 0.540], [0.558, 0.193, 0.960], [0.584, 0.416, 0.250], [0.807, 0.442, 0.540], [0.807, 0.442, 0.960], [0.840, 0.895, 0.250], [0.895, 0.840, 0.750]]
}

{
  "formula": "EuAu5",
  "functional": "meta-GGA r2SCAN",
  "state": "optimized geometry",
  "ef_ev_per_atom": -0.486,
  "e_tot_ev_per_atom": -49.06,
  "space_group": "P6/mmm",
  "m_tot_mub_per_cell": 7.1,
  "vol_a3_per_atom": 21.08,
  "density_g_cm3": 14.9,
  "lattice": [[5.592, 0.000, 0.000], [-2.796, 4.842, 0.000], [0.000, 0.000, 4.670]],
  "species": ["Eu", "Au", "Au", "Au", "Au", "Au"],
  "fractional_positions": [[0.000, 0.000, 0.000], [0.000, 0.500, 0.500], [0.333, 0.667, 0.000], [0.500, 0.000, 0.500], [0.500, 0.500, 0.500], [0.667, 0.333, 0.000]]
}

{
  "formula": "Rb3FeS3",
  "functional": "meta-GGA r2SCAN",
  "state": "optimized geometry",
  "ef_ev_per_atom": -1.139,
  "e_tot_ev_per_atom": -12.61,
  "space_group": "P2_1/c",
  "m_tot_mub_per_cell": 20.0,
  "vol_a3_per_atom": 30.87,
  "density_g_cm3": 3.1,
  "lattice": [[7.979, 0.000, 0.000], [0.000, 13.011, 0.000], [-6.323, 0.000, 8.327]],
  "species": ["Rb", "Rb", "Rb", "Rb", "Rb", "Rb", "Rb", "Rb", "Rb", "Rb", "Rb", "Rb", "Fe", "Fe", "Fe", "Fe", "S", "S", "S", "S", "S", "S", "S", "S", "S", "S", "S", "S"],
  "fractional_positions": [[0.116, 0.134, 0.480], [0.116, 0.366, 0.980], [0.144, 0.074, 0.889], [0.144, 0.426, 0.389], [0.368, 0.692, 0.581], [0.368, 0.808, 0.081], [0.632, 0.192, 0.919], [0.632, 0.308, 0.419], [0.856, 0.574, 0.611], [0.856, 0.926, 0.111], [0.884, 0.634, 0.020], [0.884, 0.866, 0.520], [0.436, 0.057, 0.342], [0.436, 0.443, 0.842], [0.564, 0.557, 0.158], [0.564, 0.943, 0.658], [0.155, 0.161, 0.192], [0.155, 0.339, 0.692], [0.360, 0.607, 0.886], [0.360, 0.893, 0.386], [0.381, 0.549, 0.257], [0.381, 0.951, 0.757], [0.619, 0.049, 0.243], [0.619, 0.451, 0.743], [0.640, 0.107, 0.614], [0.640, 0.393, 0.114], [0.845, 0.661, 0.308], [0.845, 0.839, 0.808]]
}

{
  "formula": "K2WS4",
  "functional": "meta-GGA r2SCAN",
  "state": "optimized geometry",
  "ef_ev_per_atom": -1.135,
  "e_tot_ev_per_atom": -14.78,
  "space_group": "Pnma",
  "m_tot_mub_per_cell": 0.0,
  "vol_a3_per_atom": 28.75,
  "density_g_cm3": 3.2,
  "lattice": [[9.356, 0.000, 0.000], [0.000, 6.966, 0.000], [0.000, 0.000, 12.352]],
  "species": ["K", "K", "K", "K", "K", "K", "K", "K", "W", "W", "W", "W", "S", "S", "S", "S", "S", "S", "S", "S", "S", "S", "S", "S", "S", "S", "S", "S"],
  "fractional_positions": [[0.037, 0.250, 0.169], [0.150, 0.750, 0.400], [0.350, 0.250, 0.900], [0.463, 0.750, 0.669], [0.537, 0.250, 0.331], [0.650, 0.750, 0.100], [0.850, 0.250, 0.600], [0.963, 0.750, 0.831], [0.240, 0.750, 0.073], [0.260, 0.250, 0.573], [0.740, 0.750, 0.427], [0.760, 0.250, 0.927], [0.009, 0.750, 0.102], [0.162, 0.503, 0.646], [0.162, 0.997, 0.646], [0.211, 0.250, 0.399], [0.289, 0.750, 0.899], [0.338, 0.003, 0.146], [0.338, 0.497, 0.146], [0.491, 0.250, 0.602], [0.509, 0.750, 0.398], [0.662, 0.503, 0.854], [0.662, 0.997, 0.854], [0.711, 0.250, 0.101], [0.789, 0.750, 0.601], [0.838, 0.003, 0.354], [0.838, 0.497, 0.354], [0.991, 0.250, 0.898]]
}

{
  "formula": "YbAlB14",
  "functional": "meta-GGA r2SCAN",
  "state": "optimized geometry",
  "ef_ev_per_atom": -0.178,
  "e_tot_ev_per_atom": -9.31,
  "space_group": "Imma",
  "m_tot_mub_per_cell": 0.0,
  "vol_a3_per_atom": 7.85,
  "density_g_cm3": 4.6,
  "lattice": [[-2.946, 5.207, 4.095], [2.946, -5.207, 4.095], [2.946, 5.207, -4.095]],
  "species": ["Yb", "Yb", "Al", "Al", "B", "B", "B", "B", "B", "B", "B", "B", "B", "B", "B", "B", "B", "B", "B", "B", "B", "B", "B", "B", "B", "B", "B", "B", "B", "B", "B", "B"],
  "fractional_positions": [[0.402, 0.152, 0.250], [0.598, 0.848, 0.750], [0.000, 0.000, 0.500], [0.000, 0.500, 0.000], [0.020, 0.875, 0.145], [0.032, 0.204, 0.333], [0.032, 0.699, 0.828], [0.077, 0.667, 0.409], [0.202, 0.535, 0.667], [0.224, 0.499, 0.399], [0.224, 0.826, 0.725], [0.230, 0.875, 0.355], [0.242, 0.333, 0.909], [0.367, 0.535, 0.833], [0.371, 0.204, 0.672], [0.371, 0.699, 0.167], [0.400, 0.174, 0.899], [0.400, 0.501, 0.225], [0.600, 0.499, 0.775], [0.600, 0.826, 0.101], [0.629, 0.301, 0.833], [0.629, 0.796, 0.328], [0.633, 0.465, 0.167], [0.758, 0.667, 0.091], [0.770, 0.125, 0.645], [0.776, 0.174, 0.275], [0.776, 0.501, 0.601], [0.798, 0.465, 0.333], [0.923, 0.333, 0.591], [0.968, 0.301, 0.172], [0.968, 0.796, 0.667], [0.980, 0.125, 0.855]]
}

{
  "formula": "MnP2O7",
  "functional": "meta-GGA r2SCAN",
  "state": "optimized geometry",
  "ef_ev_per_atom": -2.249,
  "e_tot_ev_per_atom": -9.70,
  "m_tot_mub_per_cell": 12.0,
  "vol_a3_per_atom": 12.17,
  "density_g_cm3": 3.1,
  "lattice": [[4.789, 0.000, 0.000], [-2.394, -4.147, 12.252], [0.000, -8.296, -0.001]],
  "species": ["Mn", "O", "O", "O", "O", "O", "O", "P", "O", "O", "P", "O", "O", "P", "O", "O", "O", "P", "O", "O", "Mn", "P", "O", "P", "O", "O", "O", "O", "P", "O", "O", "O", "P", "O", "O", "O", "O", "Mn", "O", "Mn"],
  "fractional_positions": [[0.755, 0.511, 0.245], [0.594, 0.421, 0.460], [0.380, 0.761, 0.286], [0.577, 0.921, 0.369], [0.658, 0.921, 0.683], [0.513, 0.421, 0.146], [0.434, 0.100, 0.620], [0.944, 0.888, 0.723], [0.486, 0.600, 0.227], [0.077, 0.921, 0.869], [0.567, 0.133, 0.767], [0.130, 0.261, 0.203], [0.997, 0.600, 0.343], [0.694, 0.388, 0.639], [0.013, 0.421, 0.646], [0.525, 0.421, 0.763], [0.417, 0.600, 0.529], [0.444, 0.888, 0.223], [0.917, 0.600, 0.029], [0.853, 0.100, 0.806], [0.505, 0.011, 0.495], [0.067, 0.133, 0.267], [0.986, 0.600, 0.727], [0.317, 0.633, 0.350], [0.353, 0.100, 0.306], [0.094, 0.421, 0.960], [0.364, 0.100, 0.923], [0.025, 0.421, 0.263], [0.817, 0.633, 0.850], [0.880, 0.761, 0.786], [0.630, 0.261, 0.703], [0.146, 0.921, 0.566], [0.194, 0.388, 0.139], [0.864, 0.100, 0.423], [0.934, 0.100, 0.120], [0.158, 0.921, 0.183], [0.646, 0.921, 0.066], [0.255, 0.511, 0.745], [0.497, 0.600, 0.844], [0.005, 0.011, 0.995]]
}

Question: What is the formula in the third record?
Answer: Rb3FeS3